[1]
Material: Hf3GeO8
Method: DFT, meta-GGA r2SCAN
State: optimized geometry

The structure in CIF format:
```
data_Hf3GeO8
_chemical_formula_sum 'Hf6 Ge2 O16'
_space_group_name_H-M_alt 'I -4 2 m'
_space_group_IT_number 121
_space_group_name_Hall 'I -4 2'
_cell_length_a 4.9658
_cell_length_b 4.9658
_cell_length_c 10.3880
_cell_angle_alpha 90.00
_cell_angle_beta 90.00
_cell_angle_gamma 90.00
loop_
_atom_site_label
_atom_site_fract_x
_atom_site_fract_y
_atom_site_fract_z
Hf1 0.0000 0.0000 0.0000
Hf2 0.0000 0.5000 0.2500
Ge1 0.0000 0.0000 0.5000
O1 0.1972 0.1972 0.1597
O2 0.2159 0.2159 0.4106
```

[2]
Material: HfGeOs
Method: DFT, meta-GGA r2SCAN
State: optimized geometry

The structure in CIF format:
```
data_HfGeOs
_chemical_formula_sum 'Hf3 Ge3 Os3'
_space_group_name_H-M_alt 'P -6 2 m'
_space_group_IT_number 189
_space_group_name_Hall 'P -6 -2'
_cell_length_a 6.6904
_cell_length_b 6.6904
_cell_length_c 3.7726
_cell_angle_alpha 90.00
_cell_angle_beta 90.00
_cell_angle_gamma 120.00
loop_
_atom_site_label
_atom_site_fract_x
_atom_site_fract_y
_atom_site_fract_z
Hf1 0.0000 0.4174 0.0000
Ge1 0.0000 0.0000 0.0000
Ge2 0.3333 0.6667 0.5000
Os1 0.0000 0.7531 0.5000
```

[3]
Material: HfGePt
Method: DFT, meta-GGA r2SCAN
State: optimized geometry

The structure in CIF format:
```
data_HfGePt
_chemical_formula_sum 'Hf4 Ge4 Pt4'
_space_group_name_H-M_alt 'P n m a'
_space_group_IT_number 62
_space_group_name_Hall '-P 2ac 2n'
_cell_length_a 6.6234
_cell_length_b 3.9585
_cell_length_c 7.6549
_cell_angle_alpha 90.00
_cell_angle_beta 90.00
_cell_angle_gamma 90.00
loop_
_atom_site_label
_atom_site_fract_x
_atom_site_fract_y
_atom_site_fract_z
Hf1 0.0289 0.2500 0.1831
Ge1 0.2501 0.2500 0.8787
Pt1 0.1442 0.2500 0.5648
```

[4]
Material: HfGeS
Method: DFT, meta-GGA r2SCAN
State: optimized geometry

The structure in CIF format:
```
data_HfGeS
_chemical_formula_sum 'Hf2 Ge2 S2'
_space_group_name_H-M_alt 'P 4/n m m'
_space_group_IT_number 129
_cell_length_a 3.6130
_cell_length_b 3.6130
_cell_length_c 7.9338
_cell_angle_alpha 90.00
_cell_angle_beta 90.00
_cell_angle_gamma 90.00
loop_
_space_group_symop_operation_xyz
'x,y,z'
'-x,-y,-z'
'-y+1/2,x,z'
'y+1/2,-x,-z'
'-x+1/2,-y+1/2,z'
'x+1/2,y+1/2,-z'
'y,-x+1/2,z'
'-y,x+1/2,-z'
'x+1/2,-y,-z'
'-x+1/2,y,z'
'-y,-x,-z'
'y,x,z'
'-x,y+1/2,-z'
'x,-y+1/2,z'
'y+1/2,x+1/2,-z'
'-y+1/2,-x+1/2,z'
loop_
_atom_site_label
_atom_site_fract_x
_atom_site_fract_y
_atom_site_fract_z
Hf1 0.2500 0.2500 0.2262
Ge1 0.2500 0.7500 0.5000
S1 0.2500 0.2500 0.8799
```

[5]
Material: HfScGe4
Method: DFT, meta-GGA r2SCAN
State: optimized geometry

The structure in CIF format:
```
data_HfScGe4
_chemical_formula_sum 'Hf2 Sc2 Ge8'
_space_group_name_H-M_alt 'A m m 2'
_space_group_IT_number 38
_space_group_name_Hall 'A 2 -2'
_cell_length_a 3.7508
_cell_length_b 3.8114
_cell_length_c 15.1349
_cell_angle_alpha 90.00
_cell_angle_beta 90.00
_cell_angle_gamma 90.00
loop_
_atom_site_label
_atom_site_fract_x
_atom_site_fract_y
_atom_site_fract_z
Hf1 0.0000 0.0000 0.0000
Sc1 0.5000 0.0000 0.2111
Ge1 0.0000 0.0000 0.3577
Ge2 0.0000 0.0000 0.6614
Ge3 0.5000 0.0000 0.5480
Ge4 0.5000 0.0000 0.8558
```

[6]
Material: HfGeTe
Method: DFT, meta-GGA r2SCAN
State: optimized geometry

The structure in CIF format:
```
data_HfGeTe
_chemical_formula_sum 'Hf2 Ge2 Te2'
_space_group_name_H-M_alt 'P 4/n m m'
_space_group_IT_number 129
_cell_length_a 3.7330
_cell_length_b 3.7330
_cell_length_c 10.1450
_cell_angle_alpha 90.00
_cell_angle_beta 90.00
_cell_angle_gamma 90.00
loop_
_space_group_symop_operation_xyz
'x,y,z'
'-x,-y,-z'
'-y+1/2,x,z'
'y+1/2,-x,-z'
'-x+1/2,-y+1/2,z'
'x+1/2,y+1/2,-z'
'y,-x+1/2,z'
'-y,x+1/2,-z'
'x+1/2,-y,-z'
'-x+1/2,y,z'
'-y,-x,-z'
'y,x,z'
'-x,y+1/2,-z'
'x,-y+1/2,z'
'y+1/2,x+1/2,-z'
'-y+1/2,-x+1/2,z'
loop_
_atom_site_label
_atom_site_fract_x
_atom_site_fract_y
_atom_site_fract_z
Hf1 0.2500 0.2500 0.2084
Ge1 0.2500 0.7500 0.0000
Te1 0.2500 0.2500 0.6602
```

[7]
Material: HfVGe
Method: DFT, meta-GGA r2SCAN
State: optimized geometry

The structure in CIF format:
```
data_HfVGe
_chemical_formula_sum 'Hf2 V2 Ge2'
_space_group_name_H-M_alt 'P 4/n m m'
_space_group_IT_number 129
_cell_length_a 3.6805
_cell_length_b 3.6805
_cell_length_c 7.2477
_cell_angle_alpha 90.00
_cell_angle_beta 90.00
_cell_angle_gamma 90.00
loop_
_space_group_symop_operation_xyz
'x,y,z'
'-x,-y,-z'
'-y+1/2,x,z'
'y+1/2,-x,-z'
'-x+1/2,-y+1/2,z'
'x+1/2,y+1/2,-z'
'y,-x+1/2,z'
'-y,x+1/2,-z'
'x+1/2,-y,-z'
'-x+1/2,y,z'
'-y,-x,-z'
'y,x,z'
'-x,y+1/2,-z'
'x,-y+1/2,z'
'y+1/2,x+1/2,-z'
'-y+1/2,-x+1/2,z'
loop_
_atom_site_label
_atom_site_fract_x
_atom_site_fract_y
_atom_site_fract_z
Hf1 0.2500 0.2500 0.1382
V1 0.2500 0.7500 0.5000
Ge1 0.2500 0.2500 0.7495
```

[8]
Material: K2Hg3Ge2S8
Method: DFT, meta-GGA r2SCAN
State: optimized geometry

The structure in CIF format:
```
data_K2Hg3Ge2S8
_chemical_formula_sum 'K8 Hg12 Ge8 S32'
_space_group_name_H-M_alt 'A e a 2'
_space_group_IT_number 41
_space_group_name_Hall 'A 2 -2ab'
_cell_length_a 19.4156
_cell_length_b 9.7819
_cell_length_c 8.3928
_cell_angle_alpha 90.00
_cell_angle_beta 90.00
_cell_angle_gamma 90.00
loop_
_atom_site_label
_atom_site_fract_x
_atom_site_fract_y
_atom_site_fract_z
K1 0.1166 0.2010 0.0000
Hg1 0.0000 0.0000 0.3654
Hg2 0.2453 0.4546 0.1876
Ge1 0.1353 0.2101 0.5065
S1 0.0379 0.2295 0.3620
S2 0.1251 0.0196 0.6519
S3 0.1327 0.3991 0.6566
S4 0.2276 0.2070 0.3606
```

[9]
Material: Rb8Hg3Ge43
Method: DFT, meta-GGA r2SCAN
State: optimized geometry

The structure in CIF format:
```
data_Rb8Hg3Ge43
_chemical_formula_sum 'Rb24 Hg9 Ge129'
_space_group_name_H-M_alt 'R 3 2'
_space_group_IT_number 155
_space_group_name_Hall 'R 3 2"'
_cell_length_a 15.4940
_cell_length_b 15.4940
_cell_length_c 18.9621
_cell_angle_alpha 90.00
_cell_angle_beta 90.00
_cell_angle_gamma 120.00
loop_
_atom_site_label
_atom_site_fract_x
_atom_site_fract_y
_atom_site_fract_z
Rb1 0.0000 0.0000 0.2488
Rb2 0.0000 0.2437 0.5000
Rb3 0.0000 0.7438 0.0000
Hg1 0.0000 0.7517 0.5000
Ge1 0.0000 0.0000 0.0650
Ge2 0.0000 0.0000 0.4318
Ge3 0.0000 0.2514 0.0000
Ge4 0.0218 0.1634 0.1082
Ge5 0.0238 0.8610 0.6114
Ge6 0.0612 0.2414 0.6893
Ge7 0.0637 0.8223 0.1861
Ge8 0.0882 0.5452 0.4791
Ge9 0.0887 0.5450 0.9767
```

[10]
Material: Ho3Ge5
Method: DFT, meta-GGA r2SCAN
State: optimized geometry

The structure in CIF format:
```
data_Ho3Ge5
_chemical_formula_sum 'Ho12 Ge20'
_space_group_name_H-M_alt 'C 1 2 1'
_space_group_IT_number 5
_space_group_name_Hall 'C 2y'
_cell_length_a 5.7166
_cell_length_b 13.6580
_cell_length_c 9.0514
_cell_angle_alpha 90.00
_cell_angle_beta 108.16
_cell_angle_gamma 90.00
loop_
_atom_site_label
_atom_site_fract_x
_atom_site_fract_y
_atom_site_fract_z
Ho1 0.0000 0.0000 0.0000
Ho2 0.0000 0.2501 0.5000
Ho3 0.1548 0.5073 0.3352
Ho4 0.1801 0.7573 0.8351
Ge1 0.0000 0.4466 0.0000
Ge2 0.0000 0.6956 0.5000
Ge3 0.1261 0.9050 0.3701
Ge4 0.1612 0.3364 0.8258
Ge5 0.1638 0.0869 0.3258
Ge6 0.2448 0.1546 0.8705
```

[11]
Material: HoGe3
Method: DFT, meta-GGA r2SCAN
State: optimized geometry

The structure in CIF format:
```
data_HoGe3
_chemical_formula_sum 'Ho4 Ge12'
_space_group_name_H-M_alt 'C m c m'
_space_group_IT_number 63
_space_group_name_Hall '-C 2c 2'
_cell_length_a 4.0009
_cell_length_b 20.8741
_cell_length_c 3.8808
_cell_angle_alpha 90.00
_cell_angle_beta 90.00
_cell_angle_gamma 90.00
loop_
_atom_site_label
_atom_site_fract_x
_atom_site_fract_y
_atom_site_fract_z
Ho1 0.0000 0.0835 0.2500
Ge1 0.0000 0.1918 0.7500
Ge2 0.0000 0.3102 0.7500
Ge3 0.0000 0.4615 0.2500
```

[12]
Material: Ho5Ge3
Method: DFT, meta-GGA r2SCAN
State: optimized geometry

The structure in CIF format:
```
data_Ho5Ge3
_chemical_formula_sum 'Ho10 Ge6'
_space_group_name_H-M_alt 'P 63/m c m'
_space_group_IT_number 193
_space_group_name_Hall '-P 6c 2'
_cell_length_a 8.4123
_cell_length_b 8.4123
_cell_length_c 6.3639
_cell_angle_alpha 90.00
_cell_angle_beta 90.00
_cell_angle_gamma 120.00
loop_
_atom_site_label
_atom_site_fract_x
_atom_site_fract_y
_atom_site_fract_z
Ho1 0.0000 0.2419 0.2500
Ho2 0.3333 0.6667 0.0000
Ge1 0.0000 0.3933 0.7500
```

Uncorrected energy for the records above, in order: -19.8055; -38.0099; -37.8181; -23.5405; -19.2192; -28.9070; -25.0687; -17.4458; -15.9766; -21.7607; -19.0886; -26.6736 eV per atom
Formation energy from the elements for the records above, in order: -3.38; -0.67; -0.98; -1.19; -0.55; -0.76; -0.70; -0.64; -0.12; -0.76; -0.46; -0.92 eV per atom